# 1
Computed, not measured: Y6Cu11O24 after structural relaxation at the r2SCAN level of DFT.

Properties
The energy relative to the elements comes out at -1.910 eV/atom. Its symmetry is No. 2. The value obtained for the calculated volume is 453 Å³/cell. As for the total magnetization: 3.0 μB per formula unit.

Unit cell a=6.264 b=8.079 c=9.922 alpha=114.11 beta=98.26 gamma=88.98
Element x y z (fractional)
1 Cu 0.663 0.171 0.334
2 Cu 0.842 0.822 0.160
3 Cu 0.500 0.500 0.000
4 Cu 0.337 0.829 0.666
5 Cu 0.158 0.178 0.840
6 Cu 0.500 0.500 0.500
7 Cu 0.670 0.670 0.834
8 Cu 0.161 0.167 0.338
9 Cu 0.839 0.833 0.662
10 Cu 0.000 0.000 0.500
11 Cu 0.330 0.330 0.166
12 O 0.625 0.314 0.222
13 O 0.312 0.362 0.828
14 O 0.696 0.478 0.657
15 O 0.639 0.854 0.015
16 O 0.041 0.326 0.119
17 O 0.707 0.025 0.443
18 O 0.065 0.698 0.582
19 O 0.012 0.983 0.841
20 O 0.988 0.017 0.159
21 O 0.700 0.344 0.913
22 O 0.391 0.040 0.256
23 O 0.965 0.186 0.683
24 O 0.304 0.522 0.343
25 O 0.293 0.975 0.557
26 O 0.959 0.674 0.881
27 O 0.609 0.960 0.744
28 O 0.935 0.302 0.418
29 O 0.688 0.638 0.172
30 O 0.361 0.146 0.985
31 O 0.300 0.656 0.087
32 O 0.375 0.686 0.778
33 O 0.035 0.814 0.317
34 O 0.333 0.313 0.514
35 O 0.667 0.687 0.486
36 Y 0.073 0.465 0.677
37 Y 0.753 0.130 0.000
38 Y 0.247 0.870 0.000
39 Y 0.927 0.535 0.323
40 Y 0.575 0.209 0.671
41 Y 0.425 0.791 0.329



# 2
Computed, not measured: DyZnSi after structural relaxation at the r2SCAN level of DFT.

Properties
The energy relative to the elements comes out at -0.716 eV/atom. Its symmetry is No. 187. The value obtained for the calculated volume is 58 Å³/cell. As for the total magnetization: 0.0 μB per formula unit.

Unit cell a=4.075 b=4.075 c=4.050 alpha=90.00 beta=90.00 gamma=120.00
Element x y z (fractional)
1 Si 0.000 0.000 0.500
2 Zn 0.667 0.333 0.500
3 Dy 0.333 0.667 0.000



# 3
Computed, not measured: Ti3Al5 after structural relaxation at the r2SCAN level of DFT.

Properties
The energy relative to the elements comes out at -0.451 eV/atom. Its symmetry is No. 47. The value obtained for the calculated volume is 127 Å³/cell. As for the total magnetization: 0.0 μB per formula unit.

Unit cell a=3.901 b=4.014 c=8.083 alpha=90.00 beta=90.00 gamma=90.00
Element x y z (fractional)
1 Al 0.000 0.000 0.500
2 Al 0.500 0.000 0.758
3 Al 0.500 0.000 0.242
4 Al 0.000 0.000 0.000
5 Al 0.500 0.500 0.500
6 Ti 0.500 0.500 0.000
7 Ti 0.000 0.500 0.735
8 Ti 0.000 0.500 0.265



# 4
Computed, not measured: Sn3Pt2 after structural relaxation at the r2SCAN level of DFT.

Properties
The energy relative to the elements comes out at -0.521 eV/atom. Its symmetry is No. 194. The value obtained for the calculated volume is 216 Å³/cell. As for the total magnetization: 0.0 μB per formula unit.

Unit cell a=4.374 b=4.374 c=13.068 alpha=90.00 beta=90.00 gamma=120.00
Element x y z (fractional)
1 Pt 0.333 0.667 0.143
2 Pt 0.333 0.667 0.357
3 Pt 0.667 0.333 0.643
4 Pt 0.667 0.333 0.857
5 Sn 0.667 0.333 0.429
6 Sn 0.667 0.333 0.071
7 Sn 0.000 0.000 0.750
8 Sn 0.000 0.000 0.250
9 Sn 0.333 0.667 0.571
10 Sn 0.333 0.667 0.929



# 5
Computed, not measured: Th3TlF13 after structural relaxation at the r2SCAN level of DFT.

Properties
The energy relative to the elements comes out at -4.170 eV/atom. Its symmetry is No. 26. The value obtained for the calculated volume is 527 Å³/cell. As for the total magnetization: 0.0 μB per formula unit.

Unit cell a=7.448 b=8.169 c=8.658 alpha=90.00 beta=90.00 gamma=90.00
Element x y z (fractional)
1 Th 0.892 0.500 0.085
2 Th 0.602 0.247 0.751
3 Th 0.398 0.247 0.251
4 Th 0.108 0.500 0.585
5 Th 0.398 0.753 0.251
6 Th 0.602 0.753 0.751
7 Tl 0.102 0.000 0.894
8 Tl 0.898 0.000 0.394
9 F 0.117 0.305 0.128
10 F 0.361 0.500 0.406
11 F 0.696 0.673 0.221
12 F 0.826 0.756 0.942
13 F 0.696 0.327 0.221
14 F 0.454 0.196 0.989
15 F 0.304 0.327 0.721
16 F 0.546 0.196 0.489
17 F 0.117 0.695 0.128
18 F 0.883 0.695 0.628
19 F 0.564 0.000 0.239
20 F 0.454 0.804 0.989
21 F 0.968 0.500 0.349
22 F 0.174 0.756 0.442
23 F 0.546 0.804 0.489
24 F 0.826 0.244 0.942
25 F 0.883 0.305 0.628
26 F 0.596 0.500 0.626
27 F 0.228 0.000 0.217
28 F 0.304 0.673 0.721
29 F 0.032 0.500 0.849
30 F 0.404 0.500 0.126
31 F 0.436 0.000 0.739
32 F 0.772 0.000 0.717
33 F 0.174 0.244 0.442
34 F 0.639 0.500 0.906



# 6
Computed, not measured: MgB12C2 after structural relaxation at the r2SCAN level of DFT.

Properties
The energy relative to the elements comes out at -0.194 eV/atom. Its symmetry is No. 74. The value obtained for the calculated volume is 218 Å³/cell. As for the total magnetization: 0.0 μB per formula unit.

Unit cell a=6.897 b=6.897 c=6.897 alpha=132.06 beta=109.94 gamma=89.38
Element x y z (fractional)
1 B 0.637 0.845 0.312
2 B 0.596 0.597 0.322
3 B 0.354 0.333 0.021
4 B 0.363 0.155 0.688
5 B 0.775 0.097 0.001
6 B 0.088 0.906 0.181
7 B 0.775 0.774 0.678
8 B 0.363 0.675 0.208
9 B 0.596 0.274 0.999
10 B 0.033 0.345 0.208
11 B 0.912 0.094 0.819
12 B 0.225 0.406 0.819
13 B 0.812 0.833 0.979
14 B 0.225 0.903 0.999
15 B 0.225 0.226 0.322
16 B 0.033 0.825 0.688
17 B 0.646 0.667 0.979
18 B 0.967 0.175 0.312
19 B 0.188 0.167 0.021
20 B 0.967 0.655 0.792
21 B 0.404 0.403 0.678
22 B 0.775 0.594 0.181
23 B 0.404 0.726 0.001
24 B 0.637 0.325 0.792
25 Mg 0.613 0.250 0.363
26 Mg 0.387 0.750 0.637
27 C 0.967 0.338 0.629
28 C 0.033 0.662 0.371
29 C 0.209 0.838 0.371
30 C 0.791 0.162 0.629



# 7
Computed, not measured: LiMg5 after structural relaxation at the r2SCAN level of DFT.

Properties
The energy relative to the elements comes out at -0.016 eV/atom. Its symmetry is No. 8. The value obtained for the calculated volume is 131 Å³/cell. As for the polymorph energy (0 for the lowest one): 0 meV/atom. As for the total magnetization: 0.0 μB per formula unit.

Unit cell a=5.972 b=5.972 c=7.479 alpha=75.97 beta=75.97 gamma=30.60
Element x y z (fractional)
1 Mg 0.946 0.946 0.606
2 Mg 0.666 0.666 0.665
3 Mg 0.002 0.002 0.005
4 Mg 0.331 0.331 0.332
5 Mg 0.277 0.277 0.947
6 Li 0.611 0.611 0.279



# 8
Computed, not measured: CeSiPt2 after structural relaxation at the r2SCAN level of DFT.

Properties
The energy relative to the elements comes out at -1.215 eV/atom. Its symmetry is No. 15. The value obtained for the calculated volume is 156 Å³/cell. As for the total magnetization: 1.0 μB per formula unit.

Unit cell a=4.088 b=4.138 c=9.453 alpha=90.05 beta=102.49 gamma=89.79
Element x y z (fractional)
1 Si 0.822 0.250 0.643
2 Si 0.179 0.750 0.357
3 Ce 0.601 0.250 0.202
4 Ce 0.399 0.750 0.798
5 Pt 0.050 0.750 0.101
6 Pt 0.749 0.750 0.498
7 Pt 0.251 0.250 0.502
8 Pt 0.949 0.250 0.899



# 9
Computed, not measured: Hf4GeSb7 after structural relaxation at the r2SCAN level of DFT.

Properties
The energy relative to the elements comes out at -0.466 eV/atom. Its symmetry is No. 6. The value obtained for the calculated volume is 277 Å³/cell. As for the total magnetization: 0.0 μB per formula unit.

Unit cell a=3.970 b=7.302 c=9.542 alpha=89.56 beta=90.00 gamma=90.00
Element x y z (fractional)
1 Sb 0.000 0.433 0.152
2 Sb 0.500 0.136 0.045
3 Sb 0.000 0.870 0.953
4 Sb 0.500 0.569 0.848
5 Sb 0.500 0.079 0.642
6 Sb 0.500 0.612 0.461
7 Sb 0.000 0.929 0.355
8 Hf 0.000 0.757 0.659
9 Hf 0.000 0.264 0.831
10 Hf 0.500 0.241 0.343
11 Hf 0.500 0.742 0.165
12 Ge 0.000 0.368 0.545



# 10
Computed, not measured: Tb2HfS5 after structural relaxation at the r2SCAN level of DFT.

Properties
The energy relative to the elements comes out at -2.174 eV/atom. Its symmetry is No. 62. The value obtained for the calculated volume is 648 Å³/cell. As for the total magnetization: 0.0 μB per formula unit.

Unit cell a=7.256 b=7.754 c=11.514 alpha=90.00 beta=90.00 gamma=90.00
Element x y z (fractional)
1 S 0.554 0.250 0.504
2 S 0.946 0.250 0.004
3 S 0.661 0.536 0.092
4 S 0.839 0.964 0.592
5 S 0.339 0.036 0.908
6 S 0.839 0.536 0.592
7 S 0.161 0.036 0.408
8 S 0.687 0.250 0.793
9 S 0.187 0.750 0.707
10 S 0.165 0.250 0.681
11 S 0.054 0.750 0.996
12 S 0.335 0.250 0.181
13 S 0.161 0.464 0.408
14 S 0.813 0.250 0.293
15 S 0.339 0.464 0.908
16 S 0.661 0.964 0.092
17 S 0.446 0.750 0.496
18 S 0.835 0.750 0.319
19 S 0.313 0.750 0.207
20 S 0.665 0.750 0.819
21 Tb 0.976 0.002 0.822
22 Tb 0.476 0.998 0.678
23 Tb 0.524 0.498 0.322
24 Tb 0.476 0.502 0.678
25 Tb 0.524 0.002 0.322
26 Tb 0.024 0.998 0.178
27 Tb 0.976 0.498 0.822
28 Tb 0.024 0.502 0.178
29 Hf 0.075 0.750 0.494
30 Hf 0.425 0.750 0.994
31 Hf 0.575 0.250 0.006
32 Hf 0.925 0.250 0.506



# 11
Computed, not measured: Ca11Al14O32 after structural relaxation at the r2SCAN level of DFT.

Properties
The energy relative to the elements comes out at -3.332 eV/atom. Its symmetry is No. 5. The value obtained for the calculated volume is 865 Å³/cell. As for the total magnetization: 0.0 μB per formula unit.

Unit cell a=10.397 b=10.397 c=11.954 alpha=54.89 beta=54.89 gamma=70.46
Element x y z (fractional)
1 Al 0.501 0.535 0.251
2 Al 0.250 0.249 0.127
3 Al 0.959 0.493 0.760
4 Al 0.534 0.001 0.715
5 Al 0.999 0.466 0.285
6 Al 0.622 0.378 0.500
7 Al 0.507 0.041 0.240
8 Al 0.034 0.000 0.216
9 Al 0.465 0.499 0.749
10 Al 0.125 0.623 0.378
11 Al 0.874 0.126 0.000
12 Al 0.751 0.750 0.873
13 Al 0.377 0.875 0.622
14 Al 0.000 0.966 0.784
15 O 0.867 0.004 0.381
16 O 0.092 0.294 0.271
17 O 0.383 0.683 0.673
18 O 0.688 0.122 0.155
19 O 0.020 0.090 0.044
20 O 0.612 0.186 0.547
21 O 0.788 0.596 0.839
22 O 0.087 0.478 0.368
23 O 0.101 0.812 0.238
24 O 0.706 0.908 0.729
25 O 0.496 0.368 0.252
26 O 0.878 0.312 0.845
27 O 0.522 0.913 0.632
28 O 0.404 0.212 0.161
29 O 0.096 0.467 0.807
30 O 0.909 0.796 0.858
31 O 0.614 0.510 0.329
32 O 0.533 0.904 0.193
33 O 0.910 0.980 0.956
34 O 0.490 0.386 0.671
35 O 0.298 0.403 0.938
36 O 0.983 0.588 0.569
37 O 0.006 0.633 0.116
38 O 0.317 0.617 0.327
39 O 0.367 0.994 0.884
40 O 0.412 0.017 0.431
41 O 0.188 0.899 0.762
42 O 0.632 0.504 0.748
43 O 0.814 0.388 0.453
44 O 0.996 0.133 0.619
45 O 0.204 0.091 0.142
46 O 0.597 0.702 0.062
47 Ca 0.883 0.117 0.500
48 Ca 0.136 0.864 0.000
49 Ca 0.747 0.748 0.137
50 Ca 0.388 0.880 0.120
51 Ca 0.635 0.142 0.363
52 Ca 0.751 0.750 0.612
53 Ca 0.610 0.390 0.000
54 Ca 0.858 0.365 0.637
55 Ca 0.250 0.249 0.388
56 Ca 0.252 0.253 0.863
57 Ca 0.120 0.612 0.880



# 12
Computed, not measured: Na6S2ClO8F after structural relaxation at the r2SCAN level of DFT.

Properties
The energy relative to the elements comes out at -2.116 eV/atom. Its symmetry is No. 225. The value obtained for the calculated volume is 249 Å³/cell. As for the total magnetization: 0.0 μB per formula unit.

Unit cell a=7.064 b=7.064 c=7.064 alpha=60.00 beta=60.00 gamma=60.00
Element x y z (fractional)
1 Na 0.222 0.778 0.778
2 Na 0.778 0.222 0.222
3 Na 0.778 0.778 0.222
4 Na 0.778 0.222 0.778
5 Na 0.222 0.222 0.778
6 Na 0.222 0.778 0.222
7 Cl 0.500 0.500 0.500
8 O 0.165 0.506 0.165
9 O 0.835 0.835 0.835
10 O 0.165 0.165 0.506
11 O 0.165 0.165 0.165
12 O 0.835 0.494 0.835
13 O 0.494 0.835 0.835
14 O 0.835 0.835 0.494
15 O 0.506 0.165 0.165
16 F 0.000 0.000 0.000
17 S 0.750 0.750 0.750
18 S 0.250 0.250 0.250